! MgAg14Pb6O18 | the Materials Project | PBE-GGA | optimized geometry; values from VASP
! - Mass density: 7.926 g/cm3
! - Formation energy from the elements: -0.82 eV/atom
&SYSTEM
  ibrav = 0, nat = 39, ntyp = 4
/
ATOMIC_SPECIES
Mg 24.30 Mg.upf
Ag 107.87 Ag.upf
Pb 207.20 Pb.upf
O 16.00 O.upf
ATOMIC_POSITIONS angstrom
Mg 0.000 0.000 0.000
Ag 3.606 4.413 7.914
Ag 3.428 3.675 4.478
Ag 3.789 6.358 0.611
Ag 3.575 3.389 1.135
Ag 6.992 9.704 5.895
Ag 5.738 5.419 2.459
Ag 5.483 2.037 3.175
Ag 8.207 7.046 7.323
Ag 7.811 7.156 3.829
Ag 10.056 8.685 5.359
Ag 9.752 8.638 2.366
Ag 10.222 5.448 5.935
Ag 10.060 1.984 5.954
Ag 11.201 6.188 3.213
Pb 4.544 9.079 3.067
Pb 4.723 6.865 5.942
Pb 6.849 4.013 5.945
Pb 6.850 8.542 0.273
Pb 8.883 3.364 3.073
Pb 8.951 5.567 0.377
O 2.255 2.788 2.940
O 4.764 6.971 8.234
O 5.014 9.063 5.484
O 4.323 6.870 3.678
O 4.135 8.571 0.868
O 4.630 4.528 6.008
O 6.758 8.905 2.676
O 6.937 6.286 5.766
O 7.190 4.078 8.087
O 6.548 1.807 6.329
O 6.715 3.709 3.675
O 6.786 6.055 0.480
O 9.029 3.792 5.356
O 9.225 5.599 2.650
O 9.421 7.852 0.287
O 8.589 3.345 0.901
O 8.871 1.117 3.525
O 11.359 7.157 6.510
CELL_PARAMETERS angstrom
8.852 0.000 0.000
2.365 8.624 0.000
2.523 1.927 8.413

***

! SmMn6Sn4Ge2 | the Materials Project | PBE-GGA | optimized geometry; values from VASP
! - Mass density: 8.273 g/cm3
! - Formation energy from the elements: -0.21 eV/atom
&SYSTEM
  ibrav = 0, nat = 13, ntyp = 4
/
ATOMIC_SPECIES
Sm 150.36 Sm.upf
Mn 54.94 Mn.upf
Sn 118.71 Sn.upf
Ge 72.64 Ge.upf
ATOMIC_POSITIONS angstrom
Sm 0.000 0.000 0.000
Mn -1.345 2.329 2.050
Mn -1.345 2.329 6.762
Mn 2.689 0.000 2.050
Mn 2.689 0.000 6.762
Mn 1.345 2.329 2.050
Mn 1.345 2.329 6.762
Sn 0.000 0.000 2.954
Sn 0.000 0.000 5.859
Sn 0.000 3.105 4.406
Sn 2.689 1.553 4.406
Ge 0.000 3.105 0.000
Ge 2.689 1.553 0.000
CELL_PARAMETERS angstrom
5.379 0.000 0.000
-2.689 4.658 0.000
0.000 0.000 8.813

***

! NaMg2Ti2PS5O24 | the Materials Project | PBE-GGA | optimized geometry; values from VASP
! - Mass density: 2.563 g/cm3
! - Formation energy from the elements: -2.45 eV/atom
&SYSTEM
  ibrav = 0, nat = 105, ntyp = 6
/
ATOMIC_SPECIES
Na 22.99 Na.upf
Mg 24.30 Mg.upf
Ti 47.87 Ti.upf
P 30.97 P.upf
S 32.06 S.upf
O 16.00 O.upf
ATOMIC_POSITIONS angstrom
Na 0.000 0.000 0.000
Na 4.341 7.418 11.281
Na 8.603 4.937 3.768
Mg 12.993 7.430 18.978
Mg 4.317 7.470 3.211
Mg 4.363 7.416 14.507
Mg 4.343 2.469 10.682
Mg 8.684 4.928 18.090
Mg 8.636 4.926 7.034
Ti 4.309 7.389 8.000
Ti 4.384 2.460 15.467
Ti 4.419 2.355 21.894
Ti 4.357 2.389 4.230
Ti 8.525 4.940 0.449
Ti 8.758 4.959 11.700
P 3.069 0.307 1.831
P 6.757 2.438 1.825
P 11.115 4.896 9.265
S 11.730 5.255 16.756
S 1.873 2.420 13.020
S 3.054 4.590 1.823
S 5.558 5.278 5.538
S 6.876 7.421 16.750
S 5.608 4.608 13.009
S 6.187 4.927 20.505
S 7.408 7.096 9.299
S 5.614 0.309 13.013
S 7.401 2.787 9.297
S 9.951 7.066 20.511
S 7.438 2.121 16.752
S 10.448 7.411 5.546
S 9.953 2.773 20.521
S 9.865 2.129 5.541
O 0.958 1.279 13.188
O 3.645 5.919 1.940
O 1.043 1.290 6.753
O 3.786 5.766 17.956
O 2.693 2.671 14.228
O 3.267 3.763 3.036
O 2.808 2.657 20.773
O 3.448 3.788 9.544
O 2.667 2.217 11.823
O 3.618 3.961 0.606
O 2.749 2.248 5.359
O 3.752 3.874 16.515
O 1.578 0.133 1.916
O 4.949 5.902 6.764
O 1.808 0.264 17.956
O 5.047 5.960 13.188
O 5.873 7.220 9.146
O 5.349 6.127 20.446
O 5.324 6.085 4.350
O 6.056 7.220 15.563
O 4.893 3.935 5.382
O 5.010 4.004 11.831
O 3.451 1.190 16.500
O 3.377 1.180 0.578
O 3.651 0.945 9.506
O 5.348 3.725 20.762
O 5.384 3.769 14.229
O 3.728 0.974 3.076
O 7.567 6.219 10.499
O 7.087 5.113 21.738
O 7.004 5.080 5.713
O 7.778 6.297 16.937
O 7.921 6.503 8.077
O 6.999 4.690 19.334
O 5.884 2.706 3.086
O 7.097 4.716 12.824
O 5.026 0.949 20.731
O 8.081 6.405 1.641
O 5.001 0.898 14.225
O 5.993 2.550 9.512
O 5.842 2.321 0.577
O 5.922 2.256 16.513
O 5.315 1.201 5.400
O 5.374 1.091 11.814
O 7.623 3.739 1.640
O 9.231 6.425 12.851
O 9.338 6.505 19.330
O 7.613 3.555 8.083
O 7.954 3.467 16.936
O 9.522 6.283 5.691
O 9.666 6.239 21.739
O 8.071 3.379 10.493
O 7.550 1.285 17.953
O 6.986 0.172 6.757
O 7.632 1.218 1.910
O 7.058 0.078 13.173
O 8.010 1.516 15.557
O 11.244 7.224 4.345
O 11.405 7.237 20.439
O 10.202 5.209 10.543
O 8.085 1.413 9.131
O 9.352 3.452 21.747
O 9.308 3.481 5.691
O 10.308 5.029 16.940
O 9.629 3.669 12.843
O 10.176 4.703 1.674
O 10.287 4.765 8.032
O 9.748 3.580 19.340
O 11.990 6.256 9.103
O 9.288 1.527 4.346
O 11.959 6.056 15.562
O 9.355 1.433 20.457
CELL_PARAMETERS angstrom
8.617 0.000 0.000
4.293 7.476 0.000
0.115 -0.026 22.403

***

! CsPm | the Materials Project | PBE-GGA | optimized geometry; values from VASP
! - Mass density: 4.583 g/cm3
! - Formation energy from the elements: 0.66 eV/atom
&SYSTEM
  ibrav = 0, nat = 2, ntyp = 2
/
ATOMIC_SPECIES
Cs 132.91 Cs.upf
Pm 145.00 Pm.upf
ATOMIC_POSITIONS angstrom
Cs 0.000 0.000 0.000
Pm 0.000 0.000 11.543
CELL_PARAMETERS angstrom
1.944 1.122 7.695
-1.944 1.122 7.695
0.000 -2.244 7.695

***

! YHg3 | the Materials Project | PBE-GGA | optimized geometry; values from VASP
! - Mass density: 11.864 g/cm3
! - Formation energy from the elements: -0.36 eV/atom
&SYSTEM
  ibrav = 0, nat = 8, ntyp = 2
/
ATOMIC_SPECIES
Y 88.91 Y.upf
Hg 200.59 Hg.upf
ATOMIC_POSITIONS angstrom
Y 0.000 3.844 1.259
Y 3.329 1.922 3.778
Hg 0.000 1.915 3.778
Hg -1.670 4.808 3.778
Hg 1.658 0.957 1.259
Hg 1.670 4.808 3.778
Hg 4.999 0.957 1.259
Hg 3.329 3.851 1.259
CELL_PARAMETERS angstrom
6.658 0.000 0.000
-3.329 5.766 0.000
0.000 0.000 5.037

***

! Cr3Fe3GeAs2 | the Materials Project | PBE-GGA | optimized geometry; values from VASP
! - Mass density: 7.683 g/cm3
! - Formation energy from the elements: -0.07 eV/atom
&SYSTEM
  ibrav = 0, nat = 9, ntyp = 4
/
ATOMIC_SPECIES
Cr 52.00 Cr.upf
Fe 55.84 Fe.upf
Ge 72.64 Ge.upf
As 74.92 As.upf
ATOMIC_POSITIONS angstrom
Cr -1.742 3.017 0.000
Cr 1.265 2.191 0.000
Cr 3.483 0.000 0.000
Fe -0.737 1.277 1.884
Fe 1.474 0.000 1.884
Fe 2.269 3.931 1.884
Ge 0.000 0.000 0.000
As 0.000 3.472 1.884
As 3.007 1.736 1.884
CELL_PARAMETERS angstrom
6.013 0.000 0.000
-3.007 5.207 0.000
0.000 0.000 3.769

***

! BaZnTe2O7 | the Materials Project | PBE-GGA | optimized geometry; values from VASP
! - Mass density: 5.777 g/cm3
! - Formation energy from the elements: -1.98 eV/atom
! - Maximum piezoelectric response: 0.53 C/m2
&SYSTEM
  ibrav = 0, nat = 22, ntyp = 4
/
ATOMIC_SPECIES
Ba 137.33 Ba.upf
Zn 65.41 Zn.upf
Te 127.60 Te.upf
O 16.00 O.upf
ATOMIC_POSITIONS angstrom
Ba 1.409 -4.547 3.705
Ba 4.226 4.547 3.705
Zn 1.409 1.794 3.573
Zn 4.226 -1.794 3.573
Te 1.409 -1.213 1.769
Te 1.409 -1.156 5.590
Te 4.226 1.213 1.769
Te 4.226 1.156 5.590
O 0.000 0.000 0.940
O 0.037 -2.445 2.285
O 0.039 2.261 5.118
O 1.409 -0.252 3.466
O 1.409 5.739 3.692
O 2.778 2.261 5.118
O 2.781 -2.445 2.285
O 2.817 0.000 0.940
O 2.854 2.445 2.285
O 2.856 -2.261 5.118
O 4.226 -5.739 3.692
O 4.226 0.252 3.466
O 5.595 -2.261 5.118
O 5.598 2.445 2.285
CELL_PARAMETERS angstrom
5.634 0.000 0.000
0.000 7.848 3.705
0.000 -7.848 3.705

***

! Tm2Ti2O7 | the Materials Project | PBE-GGA | optimized geometry; values from VASP
! - Mass density: 7.053 g/cm3
! - Formation energy from the elements: -3.81 eV/atom
&SYSTEM
  ibrav = 0, nat = 44, ntyp = 3
/
ATOMIC_SPECIES
Tm 168.93 Tm.upf
Ti 47.87 Ti.upf
O 16.00 O.upf
ATOMIC_POSITIONS angstrom
Tm 0.940 0.000 0.793
Tm 0.946 2.204 5.547
Tm 0.933 4.689 8.276
Tm 0.976 2.219 11.523
Tm 4.601 4.860 1.486
Tm 4.644 2.048 4.734
Tm 4.631 4.846 7.462
Tm 4.637 2.641 12.217
Ti -0.957 2.172 8.090
Ti -1.039 4.881 10.681
Ti 2.737 2.298 2.228
Ti 2.798 4.807 4.866
Ti 2.779 2.166 8.143
Ti 2.840 4.939 10.782
Ti 6.615 2.239 2.329
Ti 6.533 4.813 4.920
O -1.239 0.374 8.818
O -0.511 3.628 6.839
O -1.190 1.089 11.822
O -0.402 3.135 9.546
O -0.703 3.731 12.125
O 0.939 1.613 2.378
O 0.926 0.012 4.957
O 0.914 1.512 7.655
O 0.912 0.149 10.468
O 2.492 3.921 1.534
O 2.995 1.212 0.662
O 2.529 3.008 4.209
O 2.355 3.613 6.858
O 2.204 3.144 9.583
O 3.372 0.503 3.426
O 3.221 0.971 6.152
O 3.047 0.367 8.801
O 2.582 3.854 12.347
O 3.085 1.280 11.476
O 4.664 2.791 2.542
O 4.663 4.154 5.355
O 4.650 2.653 8.053
O 4.638 4.254 10.632
O 6.279 1.090 0.884
O 5.978 0.493 3.463
O 6.766 3.731 1.187
O 6.088 0.987 6.171
O 6.815 3.016 4.192
CELL_PARAMETERS angstrom
7.476 0.000 0.000
0.000 5.283 0.000
-1.899 0.000 13.009

***

! SbP4O12 | the Materials Project | PBE-GGA | optimized geometry; values from VASP
! - Mass density: 3.337 g/cm3
! - Formation energy from the elements: -2.37 eV/atom
&SYSTEM
  ibrav = 0, nat = 34, ntyp = 3
/
ATOMIC_SPECIES
Sb 121.76 Sb.upf
P 30.97 P.upf
O 16.00 O.upf
ATOMIC_POSITIONS angstrom
Sb 4.015 2.122 5.741
Sb 6.640 -2.122 1.914
P -1.344 0.936 5.257
P 1.282 -0.936 1.430
P 1.178 0.198 6.703
P 3.803 -0.198 2.875
P 6.851 0.198 4.780
P 9.477 -0.198 0.952
P 9.373 0.936 6.225
P 11.999 -0.936 2.398
O -2.713 0.342 5.378
O -0.630 0.828 3.917
O -0.087 -0.342 1.550
O 1.867 1.402 6.089
O 4.171 1.093 1.981
O -0.409 0.363 6.408
O 1.996 -0.828 0.090
O 2.217 -0.363 2.580
O 3.940 0.081 4.337
O 6.163 1.402 5.393
O 6.565 -0.081 0.510
O 1.545 -1.093 5.808
O 9.110 1.093 1.847
O 4.090 0.081 7.146
O 4.492 -1.402 2.262
O 6.715 -0.081 3.318
O 8.438 0.363 5.075
O 8.659 0.828 7.565
O 11.064 -0.363 1.247
O 6.484 -1.093 5.675
O 8.788 -1.402 1.566
O 10.742 0.342 6.105
O 11.285 -0.828 3.738
O 13.368 -0.342 2.278
CELL_PARAMETERS angstrom
7.953 -3.577 0.000
7.953 3.577 0.000
-5.251 0.000 7.655

***

! CeGa7Fe5 | the Materials Project | PBE-GGA | optimized geometry; values from VASP
! - Mass density: 7.890 g/cm3
! - Formation energy from the elements: -0.28 eV/atom
&SYSTEM
  ibrav = 0, nat = 13, ntyp = 3
/
ATOMIC_SPECIES
Ce 140.12 Ce.upf
Ga 69.72 Ga.upf
Fe 55.84 Fe.upf
ATOMIC_POSITIONS angstrom
Ce 0.000 0.000 0.000
Ga 2.520 1.836 -0.003
Ga 2.520 0.000 2.025
Ga 0.000 0.000 3.025
Ga 0.000 2.999 0.134
Ga 0.000 0.000 5.778
Ga 0.000 5.728 0.134
Ga 0.000 2.527 4.338
Fe 1.245 2.183 -2.114
Fe 1.275 -2.180 2.228
Fe 1.245 6.544 -2.114
Fe 1.275 2.180 2.228
Fe 0.000 4.364 2.348
CELL_PARAMETERS angstrom
-2.520 4.364 4.342
2.520 -4.364 4.342
2.520 4.364 -4.342

***

! Hf4CoP | the Materials Project | PBE-GGA | optimized geometry; values from VASP
! - Mass density: 12.386 g/cm3
! - Formation energy from the elements: -0.62 eV/atom
&SYSTEM
  ibrav = 0, nat = 12, ntyp = 3
/
ATOMIC_SPECIES
Hf 178.49 Hf.upf
Co 58.93 Co.upf
P 30.97 P.upf
ATOMIC_POSITIONS angstrom
Hf 0.999 2.104 0.000
Hf 0.999 4.253 2.667
Hf 2.104 0.999 2.667
Hf 2.104 5.358 0.000
Hf 4.253 0.999 0.000
Hf 4.253 5.358 2.667
Hf 5.358 2.104 2.667
Hf 5.358 4.253 0.000
Co 0.000 0.000 1.334
Co 0.000 0.000 4.001
P 3.178 3.178 1.334
P 3.178 3.178 4.001
CELL_PARAMETERS angstrom
6.357 0.000 0.000
0.000 6.357 0.000
0.000 0.000 5.334

***

! CsHfMg14O15 | the Materials Project | PBE-GGA | optimized geometry; values from VASP
! - Mass density: 4.207 g/cm3
! - Formation energy from the elements: -2.61 eV/atom
&SYSTEM
  ibrav = 0, nat = 31, ntyp = 4
/
ATOMIC_SPECIES
Cs 132.91 Cs.upf
Hf 178.49 Hf.upf
Mg 24.30 Mg.upf
O 16.00 O.upf
ATOMIC_POSITIONS angstrom
Cs 0.000 0.000 0.000
Hf 0.000 4.489 5.028
Mg 0.000 0.000 5.112
Mg 0.000 2.112 2.779
Mg 0.000 2.392 7.361
Mg 0.000 4.489 0.739
Mg 0.000 6.585 7.361
Mg 0.000 6.865 2.779
Mg 2.165 0.000 2.941
Mg 2.165 0.000 7.011
Mg 2.165 2.186 5.041
Mg 2.165 2.279 0.710
Mg 2.165 4.489 2.776
Mg 2.165 4.489 7.544
Mg 2.165 6.698 0.710
Mg 2.165 6.791 5.041
O 0.000 0.000 3.113
O 0.000 2.388 5.036
O 0.000 2.531 0.686
O 0.000 4.489 2.909
O 0.000 4.489 7.254
O 0.000 6.446 0.686
O 0.000 6.589 5.036
O 2.165 0.000 1.029
O 2.165 0.000 4.996
O 2.165 2.304 7.399
O 2.165 2.317 2.906
O 2.165 4.489 0.629
O 2.165 4.489 5.059
O 2.165 6.660 2.906
O 2.165 6.674 7.399
CELL_PARAMETERS angstrom
4.329 0.000 0.000
0.000 8.977 0.000
0.000 0.000 9.057